DFT (r2SCAN) results for crystalline Rb2NaDyCl6 at its relaxed geometry.

```
Rb2NaDyCl6
1.0
-6.197 2.842 3.133
-1.781 7.208 -1.078
-5.883 1.809 -4.292
Rb Na Dy Cl
2 1 1 6
Direct
0.750 0.750 0.750 Rb
0.250 0.250 0.250 Rb
0.500 0.500 0.500 Na
0.000 0.000 0.000 Dy
0.754 0.246 0.246 Cl
0.246 0.246 0.754 Cl
0.246 0.754 0.754 Cl
0.246 0.754 0.246 Cl
0.754 0.246 0.754 Cl
0.754 0.754 0.246 Cl
```

Computed properties:
**DFT formation energy**: -2.35 eV/atom